Record 1
Computed, not measured: crystalline GdInAu2 at its relaxed geometry at the r2SCAN level of DFT.

Its formation energy is -17.23 kcal/mol of atoms. The value obtained for the total DFT energy (no corrections) is -42.53 eV/atom.

Cell: 6.9944 6.9944 6.9944 Å, 90.00 90.00 90.00°
Closest atoms and distances in Å follow each position.
Space group Fm-3m (No. 225)
Symmetry-distinct sites (fractional):
Gd: 0.0000 0.0000 0.0000 (multiplicity 4)  8 Au 3.03
In: 0.0000 0.0000 0.5000 (multiplicity 4)  8 Au 3.03
Au: 0.2500 0.2500 0.2500 (multiplicity 8)  4 Gd 3.03, 4 In 3.03

=====

Record 2
Computed, not measured: crystalline Cu2HgI4 at its relaxed geometry at the r2SCAN level of DFT.

Its formation energy is -6.24 kcal/mol of atoms. The value obtained for the total DFT energy (no corrections) is -24.46 eV/atom.

Cell: 6.0919 6.0919 12.5833 Å, 90.00 90.00 90.00°
Closest atoms and distances in Å follow each position.
Space group I-42m (No. 121)
Symmetry-distinct sites (fractional):
Cu: 0.0000 0.5000 0.2500 (multiplicity 4)  4 I 2.61
Hg: 0.0000 0.0000 0.0000 (multiplicity 2)  4 I 2.86
I: 0.2317 0.2317 0.3667 (multiplicity 8)  2 Cu 2.61, 1 Hg 2.86

=====

Record 3
Computed, not measured: crystalline HfZrZn2 at its relaxed geometry at the r2SCAN level of DFT.

Its formation energy is -6.40 kcal/mol of atoms. The value obtained for the total DFT energy (no corrections) is -21.71 eV/atom.

Cell: 6.5963 6.5963 6.5963 Å, 90.00 90.00 90.00°
Closest atoms and distances in Å follow each position.
Space group Fm-3m (No. 225)
Symmetry-distinct sites (fractional):
Hf: 0.0000 0.0000 0.0000 (multiplicity 4)  8 Zn 2.86
Zr: 0.0000 0.0000 0.5000 (multiplicity 4)  8 Zn 2.86
Zn: 0.2500 0.2500 0.2500 (multiplicity 8)  4 Hf 2.86, 4 Zr 2.86

=====

Record 4
Computed, not measured: crystalline Mn3O4 at its relaxed geometry at the r2SCAN level of DFT.

Its formation energy is -49.65 kcal/mol of atoms. The value obtained for the total DFT energy (no corrections) is -11.86 eV/atom.

Cell: 11.0238 5.7428 5.7515 Å, 90.00 121.33 90.00°
Closest atoms and distances in Å follow each position.
Space group C2/m (No. 12)
Symmetry-distinct sites (fractional):
Mn: 0.0000 0.0000 0.0000 (multiplicity 2)  4 O 1.93
Mn: 0.0000 0.0000 0.5000 (multiplicity 2)  4 O 1.93
Mn: 0.1259 0.5000 0.3769 (multiplicity 4)  4 O 2.01-2.02
Mn: 0.2500 0.2500 0.0000 (multiplicity 4)  4 O 1.92-1.93
O: 0.0070 0.2238 0.7560 (multiplicity 8)  3 Mn 1.93-2.02
O: 0.2419 0.0000 0.2137 (multiplicity 4)  3 Mn 1.92-2.02
O: 0.2428 0.0000 0.7682 (multiplicity 4)  3 Mn 1.93-2.01

=====

Record 5
Computed, not measured: crystalline Na3AgO2 at its relaxed geometry at the r2SCAN level of DFT.

Its formation energy is -27.48 kcal/mol of atoms. The value obtained for the total DFT energy (no corrections) is -8.52 eV/atom.

Cell: 5.4213 10.8199 5.8654 Å, 90.00 90.00 90.00°
Closest atoms and distances in Å follow each position.
Space group Ibam (No. 72)
Symmetry-distinct sites (fractional):
Na: 0.0000 0.0000 0.2500 (multiplicity 4)  4 O 2.41
Na: 0.0000 0.2605 0.2500 (multiplicity 8)  4 O 2.34-2.37
Ag: 0.0000 0.5000 0.0000 (multiplicity 4)  2 O 2.09
O: 0.2253 0.1356 0.0000 (multiplicity 8)  1 Ag 2.09, 2 Na 2.34

=====

Record 6
Computed, not measured: crystalline Tm4CdPt at its relaxed geometry at the r2SCAN level of DFT.

Its formation energy is -16.30 kcal/mol of atoms. The value obtained for the total DFT energy (no corrections) is -36.05 eV/atom.

Cell: 13.4240 13.4240 13.4240 Å, 90.00 90.00 90.00°
Closest atoms and distances in Å follow each position.
Space group F-43m (No. 216)
Symmetry-distinct sites (fractional):
Tm: 0.0000 0.0000 0.1860 (multiplicity 24)  2 Cd 3.20, 10 Tm 3.44-3.56, 2 Pt 3.44
Tm: 0.0603 0.2500 0.7500 (multiplicity 24)  2 Pt 2.79
Tm: 0.1031 0.1031 0.3969 (multiplicity 16)  3 Pt 2.82
Cd: 0.1681 0.1681 0.1681 (multiplicity 16)  3 Cd 3.11, 9 Tm 3.20-3.44
Pt: 0.1066 0.1066 0.6066 (multiplicity 16)  6 Tm 2.79-2.82